Below is a relaxed NaP2PtO9 crystal, with properties calculated at the GGA-PBE level.

Cell and atoms, written as extended XYZ:
```
52
Lattice="0.849 -7.544 -1.796 -1.972 -1.490 -7.391 11.746 1.176 -4.225" Properties=species:S:1:pos:R:3 pbc="T T T"
O 3.371 -2.058 -4.804
O 2.478 -3.731 -2.462
O 4.956 -1.569 -2.628
O 9.283 -6.657 -10.646
O 8.509 -1.707 -10.226
O 5.604 -1.467 -9.043
O 5.019 -6.391 -4.368
O 0.108 -2.517 -7.460
O 7.252 -5.800 -8.607
O 3.350 -2.765 -7.535
O 4.857 -4.316 -8.939
O 7.684 -0.703 -7.609
O 5.667 -6.289 -10.783
O 2.529 -5.022 -8.347
O 1.292 -2.892 -5.289
O 7.144 -3.090 -7.855
O 1.340 -1.201 -2.766
O 2.939 -7.155 -5.802
O 2.114 -6.151 -3.186
O -0.855 -1.607 -5.244
O 10.515 -5.341 -5.951
O 11.477 -6.251 -8.168
O -0.784 -6.786 -8.336
O 9.331 -4.966 -8.122
O 10.447 -3.367 -10.272
O 8.145 -4.127 -10.950
O 8.600 0.218 -5.216
O 0.176 -4.491 -3.140
O 2.023 -8.076 -8.196
O 3.479 -4.768 -5.556
O 11.407 -1.072 -5.076
O 5.766 -3.542 -4.472
O 8.094 -2.835 -5.065
O 5.615 -1.525 -6.484
O 7.272 -5.093 -5.876
O 5.008 -6.332 -6.927
P 7.282 -4.060 -4.648
P 6.486 -1.624 -7.832
P 3.341 -3.797 -8.763
P 4.137 -6.234 -5.579
P 10.117 -6.022 -7.355
P 9.145 -2.979 -10.954
P 0.506 -1.836 -6.056
P 1.478 -4.878 -2.457
Pt 0.511 -0.450 -1.137
Pt 6.089 -4.721 -7.446
Pt 4.533 -3.137 -5.965
Pt 10.112 -7.408 -12.275
Na 3.789 -7.380 -9.540
Na 6.834 -0.477 -3.871
Na 0.945 -5.348 -6.395
Na 9.678 -2.510 -7.017
```

Calculated values
* corrected total energy (MP2020 scheme): -6.50 eV/atom
* ΔE_f: -1.676 eV/atom
* calculated total energy: -6.028 eV per atom